P.
# K2Cr2AsHO10 (GGA+U, relaxed)
# - Volume: 16.743 Å³/atom
data_K2Cr2AsHO10
_space_group_name_H-M_alt 'P 32 2 1'
_space_group_IT_number 154
_cell_length_a 7.9234
_cell_length_b 7.9234
_cell_length_c 14.7818
_cell_angle_alpha 90.00
_cell_angle_beta 90.00
_cell_angle_gamma 120.00
loop_
_space_group_symop_operation_xyz
'x,y,z'
'-y,x-y,z+2/3'
'-x+y,-x,z+1/3'
'y,x,-z'
'x-y,-y,-z+1/3'
'-x,-x+y,-z+2/3'
loop_
_atom_site_label
_atom_site_fract_x
_atom_site_fract_y
_atom_site_fract_z
_atom_site_occupancy
K1 0.0000 0.5529 0.3333 1
K2 0.0000 0.6162 0.8333 1
Cr1 0.0084 0.5825 0.0789 1
As1 0.0000 0.1209 0.8333 1
H1 0.0000 0.9518 0.3333 1
O1 0.0328 0.0730 0.0796 1
O2 0.1031 0.5129 0.5137 1
O3 0.1461 0.5388 0.0127 1
O4 0.1485 0.7551 0.6490 1
O5 0.1700 0.8131 0.1399 1

=====

Q.
# K2Cr2AsHO10 (GGA+U, relaxed)
# - Volume: 16.370 Å³/atom
data_K2Cr2AsHO10
_space_group_name_H-M_alt 'P 32'
_space_group_IT_number 145
_cell_length_a 7.8441
_cell_length_b 7.8441
_cell_length_c 14.7455
_cell_angle_alpha 90.00
_cell_angle_beta 90.00
_cell_angle_gamma 120.00
loop_
_space_group_symop_operation_xyz
'x,y,z'
'-y,x-y,z+2/3'
'-x+y,-x,z+1/3'
loop_
_atom_site_label
_atom_site_fract_x
_atom_site_fract_y
_atom_site_fract_z
_atom_site_occupancy
K1 0.0207 0.5667 0.0000 1
K2 0.3965 0.3908 0.1723 1
Cr1 0.0026 0.5825 0.7505 1
Cr2 0.4287 0.4235 0.9271 1
As1 0.1245 0.0205 0.8222 1
H1 0.0023 0.0367 0.2973 1
O1 0.0090 0.9138 0.0558 1
O2 0.0169 0.9534 0.5630 1
O3 0.1230 0.5321 0.1850 1
O4 0.1396 0.7479 0.3285 1
O5 0.1432 0.5573 0.6767 1
O6 0.1502 0.8106 0.8181 1
O7 0.3551 0.1878 0.8681 1
O8 0.4014 0.2325 0.3636 1
O9 0.4903 0.0908 0.1551 1
O10 0.5185 0.1441 0.6525 1

=====

Tell me which of them is the least stable. Sure, it is P.

=====

P.
# MgFe2CuAs2H2O10 (GGA+U, relaxed)
# - Volume: 12.499 Å³/atom
data_MgFe2CuAs2H2O10
_space_group_name_H-M_alt 'P 1'
_space_group_IT_number 1
_cell_length_a 5.5153
_cell_length_b 6.0241
_cell_length_c 7.8398
_cell_angle_alpha 106.00
_cell_angle_beta 103.66
_cell_angle_gamma 106.89
loop_
_space_group_symop_operation_xyz
'x,y,z'
loop_
_atom_site_label
_atom_site_fract_x
_atom_site_fract_y
_atom_site_fract_z
_atom_site_occupancy
Mg1 0.0000 0.0000 0.0000 1
Fe1 0.1047 0.5577 0.2085 1
Fe2 0.9008 0.4427 0.7968 1
Cu1 0.5051 0.5019 0.0057 1
As1 0.3487 0.9265 0.6929 1
As2 0.6510 0.0783 0.3076 1
H1 0.2684 0.0878 0.3663 1
H2 0.7065 0.8611 0.6158 1
O1 0.1380 0.3306 0.9767 1
O2 0.1586 0.8112 0.4599 1
O3 0.1877 0.8141 0.8295 1
O4 0.3515 0.1557 0.2822 1
O5 0.4890 0.2455 0.7686 1
O6 0.5253 0.7593 0.2453 1
O7 0.6353 0.8294 0.7150 1
O8 0.7992 0.1833 0.1622 1
O9 0.8502 0.2161 0.5379 1
O10 0.8693 0.6730 0.0301 1

=====

Q.
# MgFe2CuAs2H2O10 (GGA+U, relaxed)
# - Volume: 12.082 Å³/atom
data_MgFe2CuAs2H2O10
_space_group_name_H-M_alt 'P 1'
_space_group_IT_number 1
_cell_length_a 5.5316
_cell_length_b 5.7865
_cell_length_c 7.8186
_cell_angle_alpha 110.46
_cell_angle_beta 98.36
_cell_angle_gamma 105.77
loop_
_space_group_symop_operation_xyz
'x,y,z'
loop_
_atom_site_label
_atom_site_fract_x
_atom_site_fract_y
_atom_site_fract_z
_atom_site_occupancy
Mg1 0.0000 0.0000 0.0000 1
Fe1 0.0188 0.5427 0.2681 1
Fe2 0.3770 0.7738 0.6406 1
Cu1 0.2018 0.1653 0.4659 1
As1 0.4798 0.9167 0.1111 1
As2 0.8745 0.3882 0.7832 1
H1 0.3448 0.4794 0.0256 1
H2 0.8278 0.7879 0.6568 1
O1 0.0396 0.3453 0.9922 1
O2 0.0827 0.8463 0.5125 1
O3 0.1259 0.4087 0.6621 1
O4 0.2218 0.9234 0.2162 1
O5 0.3126 0.4603 0.4041 1
O6 0.3308 0.9456 0.9125 1
O7 0.5301 0.6173 0.0699 1
O8 0.6097 0.1109 0.6325 1
O9 0.7316 0.7715 0.7529 1
O10 0.7910 0.1307 0.2062 1

=====

Tell me which of them is the least stable. Sure, it is Q.

=====

P.
# MgFeAs2O7 (GGA+U, relaxed)
# - Volume: 12.559 Å³/atom
data_MgFeAs2O7
_space_group_name_H-M_alt 'C 1 2 1'
_space_group_IT_number 5
_cell_length_a 6.6397
_cell_length_b 8.7923
_cell_length_c 4.8429
_cell_angle_alpha 90.00
_cell_angle_beta 102.24
_cell_angle_gamma 90.00
loop_
_space_group_symop_operation_xyz
'x,y,z'
'-x,y,-z'
'x+1/2,y+1/2,z'
'-x+1/2,y+1/2,-z'
loop_
_atom_site_label
_atom_site_fract_x
_atom_site_fract_y
_atom_site_fract_z
_atom_site_occupancy
Mg1 0.0000 0.0000 0.0000 1
Fe1 0.0000 0.3778 0.0000 1
As1 0.2360 0.6921 0.4002 1
O1 0.0000 0.7222 0.5000 1
O2 0.0995 0.1848 0.2749 1
O3 0.2338 0.5283 0.2122 1
O4 0.2397 0.8544 0.2042 1

=====

Q.
# MgFeAs2O7 (GGA+U, relaxed)
# - Volume: 12.963 Å³/atom
data_MgFeAs2O7
_space_group_name_H-M_alt 'P 1 21/c 1'
_space_group_IT_number 14
_cell_length_a 7.3812
_cell_length_b 8.6942
_cell_length_c 9.7265
_cell_angle_alpha 90.00
_cell_angle_beta 113.97
_cell_angle_gamma 90.00
loop_
_space_group_symop_operation_xyz
'x,y,z'
'-x,-y,-z'
'-x,y+1/2,-z+1/2'
'x,-y+1/2,z+1/2'
loop_
_atom_site_label
_atom_site_fract_x
_atom_site_fract_y
_atom_site_fract_z
_atom_site_occupancy
Mg1 0.2263 0.0762 0.1070 1
Fe1 0.3153 0.0563 0.6833 1
As1 0.0646 0.7272 0.7481 1
As2 0.4798 0.7237 0.0398 1
O1 0.0306 0.5964 0.6083 1
O2 0.1329 0.2404 0.7045 1
O3 0.1457 0.5998 0.2224 1
O4 0.2491 0.6440 0.9150 1
O5 0.3621 0.2316 0.5496 1
O6 0.4462 0.6010 0.6045 1
O7 0.4630 0.0841 0.3255 1

=====

Tell me which of them is the least stable. Sure, it is P.

=====

P.
# FeAsO6 (GGA+U, relaxed)
# - Volume: 16.452 Å³/atom
data_FeAsO6
_space_group_name_H-M_alt 'P b c a'
_space_group_IT_number 61
_cell_length_a 9.7162
_cell_length_b 9.7627
_cell_length_c 11.1006
_cell_angle_alpha 90.00
_cell_angle_beta 90.00
_cell_angle_gamma 90.00
loop_
_space_group_symop_operation_xyz
'x,y,z'
'-x,-y,-z'
'-x+1/2,-y,z+1/2'
'x+1/2,y,-z+1/2'
'x+1/2,-y+1/2,-z'
'-x+1/2,y+1/2,z'
'-x,y+1/2,-z+1/2'
'x,-y+1/2,z+1/2'
loop_
_atom_site_label
_atom_site_fract_x
_atom_site_fract_y
_atom_site_fract_z
_atom_site_occupancy
Fe1 0.0951 0.2178 0.1054 1
As1 0.0683 0.6439 0.6485 1
O1 0.0317 0.6845 0.7955 1
O2 0.0505 0.2294 0.9382 1
O3 0.0571 0.0296 0.1306 1
O4 0.1342 0.5525 0.1786 1
O5 0.2074 0.5667 0.2689 1
O6 0.2316 0.6932 0.6089 1

=====

Q.
# FeAsO6 (GGA+U, relaxed)
# - Volume: 13.950 Å³/atom
data_FeAsO6
_space_group_name_H-M_alt 'P -3 c 1'
_space_group_IT_number 165
_space_group_name_Hall '-P 3 2"c'
_cell_length_a 8.7488
_cell_length_b 8.7488
_cell_length_c 10.1012
_cell_angle_alpha 90.00
_cell_angle_beta 90.00
_cell_angle_gamma 120.00
loop_
_atom_site_label
_atom_site_fract_x
_atom_site_fract_y
_atom_site_fract_z
_atom_site_occupancy
Fe1 0.0000 0.0000 0.0000 1
Fe2 0.3333 0.6667 0.3077 1
As1 0.0000 0.2734 0.2500 1
O1 0.0779 0.2078 0.3835 1
O2 0.1771 0.4709 0.1988 1
O3 0.1776 0.5361 0.9305 1

=====

Tell me which of them is the least stable. Sure, it is Q.

=====

P.
# Fe4As3O23 (GGA+U, relaxed)
# - Volume: 16.607 Å³/atom
data_Fe4As3O23
_space_group_name_H-M_alt 'P 1'
_space_group_IT_number 1
_cell_length_a 7.9168
_cell_length_b 7.9252
_cell_length_c 7.9432
_cell_angle_alpha 88.66
_cell_angle_beta 89.43
_cell_angle_gamma 89.63
loop_
_space_group_symop_operation_xyz
'x,y,z'
loop_
_atom_site_label
_atom_site_fract_x
_atom_site_fract_y
_atom_site_fract_z
_atom_site_occupancy
Fe1 0.0000 0.0000 0.0000 1
Fe2 0.0003 0.2815 0.7174 1
Fe3 0.2708 0.2692 0.9869 1
Fe4 0.2730 0.0078 0.7250 1
As1 0.1400 0.1428 0.3574 1
As2 0.1401 0.6395 0.8602 1
As3 0.6347 0.1377 0.8560 1
O1 0.0162 0.0108 0.2447 1
O2 0.0157 0.5261 0.7297 1
O3 0.0194 0.2781 0.4731 1
O4 0.0190 0.7548 0.9962 1
O5 0.0323 0.6710 0.3855 1
O6 0.0326 0.2575 0.9755 1
O7 0.0345 0.0217 0.7398 1
O8 0.2611 0.0256 0.9708 1
O9 0.2617 0.2532 0.7436 1
O10 0.2740 0.2596 0.2265 1
O11 0.2737 0.7667 0.7384 1
O12 0.2750 0.0222 0.4839 1
O13 0.2745 0.5096 0.9766 1
O14 0.5116 0.2644 0.9833 1
O15 0.5153 0.0104 0.7290 1
O16 0.5245 0.5493 0.4267 1
O17 0.5444 0.6428 0.2945 1
O18 0.6177 0.1096 0.3623 1
O19 0.6336 0.6483 0.8611 1
O20 0.6918 0.6462 0.2228 1
O21 0.7566 0.0105 0.9841 1
O22 0.7571 0.2669 0.7301 1
O23 0.8924 0.7006 0.4395 1

=====

Q.
# Fe4As3O23 (GGA+U, relaxed)
# - Volume: 16.537 Å³/atom
data_Fe4As3O23
_space_group_name_H-M_alt 'P -4 3 m'
_space_group_IT_number 215
_space_group_name_Hall 'P -4 2 3'
_cell_length_a 7.9163
_cell_length_b 7.9163
_cell_length_c 7.9163
_cell_angle_alpha 90.00
_cell_angle_beta 90.00
_cell_angle_gamma 90.00
loop_
_atom_site_label
_atom_site_fract_x
_atom_site_fract_y
_atom_site_fract_z
_atom_site_occupancy
Fe1 0.1354 0.1354 0.1354 1
As1 0.0000 0.0000 0.5000 1
O1 0.0000 0.5000 0.5000 1
O2 0.1155 0.1155 0.8845 1
O3 0.1276 0.1276 0.3789 1
O4 0.3519 0.3519 0.6481 1

=====

Tell me which of them is the least stable. Sure, it is P.